Here is Ti2Fe4O9 after structural relaxation from the Materials Project database. Energies are from GGA+U.

Output
crystal system	triclinic
E	-7.61	eV/atom
energy relative to the lowest polymorph listed for this composition	2	meV/atom
ΔH_f (0 K)	-2340	meV per atom
V	319.9	Å³/cell

abc: 5.145 5.516 11.665
angles: 97.41 102.65 91.14
Atoms (fractional coordinates):
Ti 0.048 0.334 0.097
Ti 0.280 0.990 0.573
Ti 0.720 0.010 0.427
Ti 0.952 0.666 0.903
Fe 0.122 0.817 0.236
Fe 0.221 0.511 0.432
Fe 0.382 0.668 0.764
Fe 0.450 0.158 0.904
Fe 0.550 0.842 0.096
Fe 0.618 0.332 0.236
Fe 0.779 0.489 0.568
Fe 0.878 0.183 0.764
O 0.023 0.514 0.738
O 0.061 0.230 0.502
O 0.101 0.317 0.941
O 0.210 0.027 0.726
O 0.262 0.092 0.167
O 0.301 0.809 0.930
O 0.366 0.859 0.398
O 0.379 0.577 0.167
O 0.440 0.664 0.604
O 0.560 0.336 0.396
O 0.621 0.423 0.833
O 0.634 0.141 0.602
O 0.699 0.191 0.070
O 0.738 0.908 0.833
O 0.790 0.973 0.274
O 0.899 0.683 0.059
O 0.939 0.770 0.498
O 0.977 0.486 0.262